Crystalline Te2MoW2S4 at its relaxed geometry, computed with PBE-GGA.

The structure belongs to space group P3m1 (No. 156); the cell edges are 3.2974, 3.2974 and 30.5021 Å and the angles 90.00°, 90.00° and 120.00°. Symmetry generates all atoms from Te at (0.0000, 0.0000, 0.0000), Te at (0.0000, 0.0000, 0.1254), Mo at (0.6667, 0.3333, 0.0627), W at (0.0000, 0.0000, 0.2941), W at (0.6667, 0.3333, 0.5254), S at (0.0000, 0.0000, 0.4750), S at (0.0000, 0.0000, 0.5758), S at (0.6667, 0.3333, 0.2437) and S at (0.6667, 0.3333, 0.3444).

For the energy above the most stable polymorph in this dataset, the calculation gives 0 meV/atom. The value obtained for the formation energy is -789 meV/atom. For the volume, the calculation gives 287.2 Å³/cell.


Crystalline Te4Mo3WS4 at its relaxed geometry, computed with PBE-GGA.

The structure belongs to space group P3m1 (No. 156); the cell edges are 3.3554, 3.3554 and 39.7530 Å and the angles 90.00°, 90.00° and 120.00°. Symmetry generates all atoms from Te at (0.0000, 0.0000, 0.0000), Te at (0.0000, 0.0000, 0.0951), Te at (0.3333, 0.6667, 0.8090), Te at (0.3333, 0.6667, 0.9041), Mo at (0.0000, 0.0000, 0.4823), Mo at (0.0000, 0.0000, 0.8565), Mo at (0.3333, 0.6667, 0.0476), W at (0.3333, 0.6667, 0.6698), S at (0.0000, 0.0000, 0.6316), S at (0.0000, 0.0000, 0.7081), S at (0.3333, 0.6667, 0.4443) and S at (0.3333, 0.6667, 0.5204).

For the energy above the most stable polymorph in this dataset, the calculation gives 1 meV/atom. The value obtained for the formation energy is -647 meV/atom. For the volume, the calculation gives 387.6 Å³/cell.


Crystalline TeMoWS3 at its relaxed geometry, computed with PBE-GGA.

The structure belongs to space group P3m1 (No. 156); the cell edges are 3.2713, 3.2713 and 37.1465 Å and the angles 90.00°, 90.00° and 120.00°. Symmetry generates all atoms from Te at (0.0000, 0.0000, 0.0000), Te at (0.0000, 0.0000, 0.1037), Mo at (0.0000, 0.0000, 0.2398), Mo at (0.6667, 0.3333, 0.0519), W at (0.0000, 0.0000, 0.6155), W at (0.6667, 0.3333, 0.4276), S at (0.0000, 0.0000, 0.3861), S at (0.0000, 0.0000, 0.4692), S at (0.6667, 0.3333, 0.1984), S at (0.6667, 0.3333, 0.2812), S at (0.6667, 0.3333, 0.5740) and S at (0.6667, 0.3333, 0.6571).

For the energy above the most stable polymorph in this dataset, the calculation gives 1 meV/atom. The value obtained for the formation energy is -886 meV/atom. For the volume, the calculation gives 344.3 Å³/cell.


Crystalline TeMoWS3 at its relaxed geometry, computed with PBE-GGA.

The structure belongs to space group P3m1 (No. 156); the cell edges are 3.2698, 3.2698 and 37.1313 Å and the angles 90.00°, 90.00° and 120.00°. Symmetry generates all atoms from Te at (0.0000, 0.0000, 0.0000), Te at (0.0000, 0.0000, 0.1036), Mo at (0.6667, 0.3333, 0.0518), Mo at (0.6667, 0.3333, 0.6761), W at (0.0000, 0.0000, 0.2397), W at (0.0000, 0.0000, 0.8639), S at (0.0000, 0.0000, 0.6346), S at (0.0000, 0.0000, 0.7175), S at (0.6667, 0.3333, 0.1981), S at (0.6667, 0.3333, 0.2813), S at (0.6667, 0.3333, 0.8223) and S at (0.6667, 0.3333, 0.9055).

For the energy above the most stable polymorph in this dataset, the calculation gives 3 meV/atom. The value obtained for the formation energy is -885 meV/atom. For the volume, the calculation gives 343.8 Å³/cell.


Crystalline Te4Mo3WS4 at its relaxed geometry, computed with PBE-GGA.

The structure belongs to space group P3m1 (No. 156); the cell edges are 3.3636, 3.3636 and 39.7860 Å and the angles 90.00°, 90.00° and 120.00°. Symmetry generates all atoms from Te at (0.0000, 0.0000, 0.0000), Te at (0.0000, 0.0000, 0.0949), Te at (0.3333, 0.6667, 0.1904), Te at (0.3333, 0.6667, 0.2859), Mo at (0.0000, 0.0000, 0.8609), Mo at (0.3333, 0.6667, 0.0474), Mo at (0.3333, 0.6667, 0.4245), W at (0.0000, 0.0000, 0.2382), S at (0.0000, 0.0000, 0.3865), S at (0.0000, 0.0000, 0.4625), S at (0.3333, 0.6667, 0.8229) and S at (0.3333, 0.6667, 0.8989).

For the energy above the most stable polymorph in this dataset, the calculation gives 37 meV/atom. The value obtained for the formation energy is -611 meV/atom. For the volume, the calculation gives 389.8 Å³/cell.


Crystalline Te4Mo3WS4 at its relaxed geometry, computed with PBE-GGA.

The structure belongs to space group P3m1 (No. 156); the cell edges are 3.3576, 3.3576 and 38.2814 Å and the angles 90.00°, 90.00° and 120.00°. Symmetry generates all atoms from Te at (0.0000, 0.0000, 0.0000), Te at (0.0000, 0.0000, 0.0988), Te at (0.3333, 0.6667, 0.4364), Te at (0.3333, 0.6667, 0.5352), Mo at (0.0000, 0.0000, 0.4858), Mo at (0.3333, 0.6667, 0.0494), Mo at (0.3333, 0.6667, 0.6736), W at (0.0000, 0.0000, 0.8615), S at (0.0000, 0.0000, 0.6341), S at (0.0000, 0.0000, 0.7132), S at (0.3333, 0.6667, 0.8218) and S at (0.3333, 0.6667, 0.9012).

For the energy above the most stable polymorph in this dataset, the calculation gives 0 meV/atom. The value obtained for the formation energy is -647 meV/atom. For the volume, the calculation gives 373.7 Å³/cell.


no.,spin magnetization (μB per formula unit)
1,0.00
2,0.01
3,0.00
4,0.00
5,0.00
6,0.00